Record 1
A relaxed structure of MgSb2O4F2, computed with PBE-GGA.

VASP energy in eV/atom: -5.633
Distance to the lowest polymorph of the same formula in eV/atom: 0.006
Formation enthalpy at 0 K in eV per atom: -2.322

CIF file:
```
data_MgSb2O4F2
_chemical_formula_sum 'Mg1 Sb2 O4 F2'
_symmetry_space_group_name_H-M 'P 1'
_symmetry_Int_Tables_number 1
_symmetry_space_group_name_Hall 'P 1'
_cell_length_a 5.279
_cell_length_b 5.460
_cell_length_c 5.791
_cell_angle_alpha 67.33
_cell_angle_beta 67.23
_cell_angle_gamma 63.25
loop_
_atom_site_label
_atom_site_fract_x
_atom_site_fract_y
_atom_site_fract_z
Mg1 0.000 0.000 0.000
Sb1 0.147 0.263 0.402
Sb2 0.654 0.654 0.942
O1 0.262 0.613 0.192
O2 0.402 0.997 0.766
O3 0.820 0.386 0.719
O4 0.878 0.320 0.177
F1 0.006 0.780 0.755
F2 0.648 0.880 0.170
```


Record 2
A relaxed structure of MgSb3O7F, computed with PBE-GGA.

VASP energy in eV/atom: -5.794
Distance to the lowest polymorph of the same formula in eV/atom: 0.006
Formation enthalpy at 0 K in eV per atom: -2.022

CIF file:
```
data_MgSb3O7F
_chemical_formula_sum 'Mg2 Sb6 O14 F2'
_symmetry_space_group_name_H-M 'A m m 2'
_symmetry_Int_Tables_number 38
_symmetry_space_group_name_Hall 'A 2 -2'
_cell_length_a 3.954
_cell_length_b 11.230
_cell_length_c 7.215
_cell_angle_alpha 90.00
_cell_angle_beta 90.00
_cell_angle_gamma 90.00
loop_
_atom_site_label
_atom_site_fract_x
_atom_site_fract_y
_atom_site_fract_z
Mg1 0.000 0.000 0.000
Sb1 0.500 0.000 0.364
Sb2 0.500 0.212 0.814
O1 0.000 0.000 0.301
O2 0.000 0.168 0.859
O3 0.500 0.134 0.170
O4 0.500 0.143 0.531
F1 0.500 0.000 0.878
```


Record 3
A relaxed structure of MgSb2O4F2, computed with PBE-GGA.

VASP energy in eV/atom: -5.630
Distance to the lowest polymorph of the same formula in eV/atom: 0.009
Formation enthalpy at 0 K in eV per atom: -2.319

CIF file:
```
data_MgSb2O4F2
_chemical_formula_sum 'Mg1 Sb2 O4 F2'
_symmetry_space_group_name_H-M 'P 1'
_symmetry_Int_Tables_number 1
_symmetry_space_group_name_Hall 'P 1'
_cell_length_a 5.265
_cell_length_b 5.418
_cell_length_c 5.768
_cell_angle_alpha 93.21
_cell_angle_beta 114.55
_cell_angle_gamma 114.84
loop_
_atom_site_label
_atom_site_fract_x
_atom_site_fract_y
_atom_site_fract_z
Mg1 0.000 0.000 0.000
Sb1 0.372 0.659 0.057
Sb2 0.483 0.247 0.594
O1 0.264 0.843 0.271
O2 0.454 0.395 0.265
O3 0.565 0.637 0.834
O4 0.943 0.309 0.817
F1 0.162 0.858 0.794
F2 0.814 0.029 0.244
```


Record 4
A relaxed structure of MgSb3O7F, computed with PBE-GGA.

VASP energy in eV/atom: -5.800
Distance to the lowest polymorph of the same formula in eV/atom: 0.000
Formation enthalpy at 0 K in eV per atom: -2.028

CIF file:
```
data_MgSb3O7F
_chemical_formula_sum 'Mg1 Sb3 O7 F1'
_symmetry_space_group_name_H-M 'P 1 m 1'
_symmetry_Int_Tables_number 6
_symmetry_space_group_name_Hall 'P -2y'
_cell_length_a 6.601
_cell_length_b 4.008
_cell_length_c 6.850
_cell_angle_alpha 90.00
_cell_angle_beta 113.56
_cell_angle_gamma 90.00
loop_
_atom_site_label
_atom_site_fract_x
_atom_site_fract_y
_atom_site_fract_z
Mg1 0.000 0.000 0.000
Sb1 0.269 0.500 0.389
Sb2 0.598 0.500 0.927
Sb3 0.926 0.500 0.627
O1 0.236 0.000 0.304
O2 0.273 0.500 0.693
O3 0.606 0.500 0.596
O4 0.668 0.000 0.962
O5 0.924 0.500 0.341
O6 0.956 0.000 0.684
O7 0.980 0.500 0.941
F1 0.444 0.500 0.133
```


no.,spin magnetization (μB per cell)
1,0.000
2,0.000
3,0.000
4,0.000